1.
DFT (PBE with a Hubbard U) results for a relaxed BaMoI4O15 crystal.

Output
Raw total energy (eV per atom): -4.960
Magnetization (μB per formula unit): 0.0
Formation energy (eV/atom): -1.17

```
data_BaMoI4O15
_chemical_formula_sum 'Ba4 Mo4 I16 O60'
_symmetry_space_group_name_H-M 'P 1 21/c 1'
_symmetry_Int_Tables_number 14
_symmetry_space_group_name_Hall '-P 2ybc'
_cell_length_a 13.531
_cell_length_b 5.908
_cell_length_c 19.967
_cell_angle_alpha 90.00
_cell_angle_beta 116.76
_cell_angle_gamma 90.00
loop_
_atom_site_label
_atom_site_type_symbol
_atom_site_fract_x
_atom_site_fract_y
_atom_site_fract_z
_atom_site_occupancy
Ba1 Ba 0.242 0.015 0.022 1
Mo1 Mo 0.257 0.090 0.249 1
I1 I 0.062 0.112 0.591 1
I2 I 0.102 0.503 0.310 1
I3 I 0.394 0.519 0.180 1
I4 I 0.433 0.093 0.908 1
O1 O 0.055 0.725 0.414 1
O2 O 0.056 0.190 0.500 1
O3 O 0.068 0.249 0.846 1
O4 O 0.139 0.130 0.738 1
O5 O 0.167 0.606 0.757 1
O6 O 0.174 0.155 0.137 1
O7 O 0.240 0.563 0.385 1
O8 O 0.250 0.502 0.994 1
O9 O 0.254 0.606 0.108 1
O10 O 0.336 0.158 0.357 1
O11 O 0.356 0.578 0.738 1
O12 O 0.357 0.099 0.753 1
O13 O 0.411 0.242 0.639 1
O14 O 0.434 0.175 0.997 1
O15 O 0.442 0.730 0.585 1
```


2.
DFT (PBE with a Hubbard U) results for a relaxed Na3Mn2P2C2O14 crystal.

Output
Energy relative to the lowest polymorph listed for this composition (meV/atom): 1
Raw total energy (eV per atom): -6.940
Magnetization (μB per formula unit): 7.0
Formation energy (eV/atom): -2.25

```
data_Na3Mn2P2C2O14
_chemical_formula_sum 'Na6 Mn4 P4 C4 O28'
_symmetry_space_group_name_H-M 'P -1'
_symmetry_Int_Tables_number 2
_symmetry_space_group_name_Hall '-P 1'
_cell_length_a 8.385
_cell_length_b 8.431
_cell_length_c 10.286
_cell_angle_alpha 106.55
_cell_angle_beta 108.09
_cell_angle_gamma 103.21
loop_
_atom_site_label
_atom_site_type_symbol
_atom_site_fract_x
_atom_site_fract_y
_atom_site_fract_z
_atom_site_occupancy
Na1 Na 0.009 0.474 0.248 1
Na2 Na 0.266 0.253 0.762 1
Na3 Na 0.487 0.989 0.231 1
Mn1 Mn 0.190 0.944 0.348 1
Mn2 Mn 0.317 0.559 0.652 1
P1 P 0.051 0.809 0.573 1
P2 P 0.445 0.709 0.428 1
C1 C 0.028 0.778 0.080 1
C2 C 0.469 0.718 0.921 1
O1 O 0.016 0.265 0.816 1
O2 O 0.026 0.073 0.336 1
O3 O 0.051 0.309 0.054 1
O4 O 0.095 0.336 0.575 1
O5 O 0.155 0.732 0.674 1
O6 O 0.168 0.925 0.144 1
O7 O 0.188 0.935 0.536 1
O8 O 0.318 0.584 0.469 1
O9 O 0.328 0.570 0.852 1
O10 O 0.330 0.788 0.330 1
O11 O 0.410 0.144 0.424 1
O12 O 0.460 0.203 0.941 1
O13 O 0.471 0.388 0.666 1
O14 O 0.479 0.231 0.173 1
```


What is the formation energy in the second record? -2.25 eV/atom


What is the magnetization in the second record? 7.0 μB per formula unit